1.
A plane-wave DFT calculation with GGA-PBE was carried out for CeSbPt5 after structural relaxation.

Unit cell a=10.933 b=10.933 c=10.933 alpha=28.59 beta=28.59 gamma=28.59
Fractional coordinates of all 14 atoms:
Pt: 0.814 0.814 0.814
Pt: 0.523 0.076 0.621
Pt: 0.186 0.186 0.186
Pt: 0.076 0.621 0.523
Ce: 0.000 0.000 0.000
Pt: 0.924 0.379 0.477
Pt: 0.477 0.924 0.379
Pt: 0.334 0.334 0.334
Ce: 0.500 0.500 0.500
Sb: 0.895 0.895 0.895
Pt: 0.666 0.666 0.666
Pt: 0.621 0.523 0.076
Pt: 0.379 0.477 0.924
Sb: 0.105 0.105 0.105

Values from the calculation:
ΔH_f (0 K): -68.1 kJ/mol of atoms
Calculated density: 15.53 Mg/m³
Distance to the lowest polymorph of the same formula: 0 meV per atom
Total DFT energy (no corrections): -45.355 eV/f.u.

=====

2.
A plane-wave DFT calculation with GGA-PBE was carried out for SrEuSe2 after structural relaxation.

Unit cell a=7.633 b=7.633 c=7.633 alpha=33.50 beta=33.50 gamma=33.50
Fractional coordinates of all 4 atoms:
Se: 0.748 0.748 0.748
Sr: 0.500 0.500 0.500
Se: 0.252 0.252 0.252
Eu: 0.000 0.000 0.000

Values from the calculation:
ΔH_f (0 K): -219.8 kJ/mol of atoms
Energy with MP2020 corrections: -7.013 eV/atom
Calculated density: 5.47 Mg/m³
Total DFT energy (no corrections): -27.108 eV/f.u.

=====

3.
A plane-wave DFT calculation with GGA-PBE was carried out for TlCu5Se3 after structural relaxation.

Unit cell a=12.924 b=12.924 c=3.948 alpha=90.00 beta=90.00 gamma=90.00
Fractional coordinates of all 36 atoms:
Cu: 0.287 0.921 0.500
Se: 0.118 0.325 0.500
Se: 0.618 0.175 0.000
Cu: 0.897 0.486 0.500
Tl: 0.393 0.607 0.500
Cu: 0.320 0.320 0.500
Cu: 0.579 0.787 0.000
Cu: 0.213 0.421 0.000
Cu: 0.079 0.713 0.500
Tl: 0.893 0.893 0.000
Se: 0.825 0.382 0.000
Se: 0.675 0.882 0.500
Cu: 0.603 0.986 0.000
Se: 0.399 0.399 0.000
Cu: 0.103 0.514 0.500
Cu: 0.397 0.014 0.000
Se: 0.101 0.899 0.500
Se: 0.175 0.618 0.000
Cu: 0.921 0.287 0.500
Se: 0.899 0.101 0.500
Se: 0.882 0.675 0.500
Cu: 0.180 0.820 0.000
Cu: 0.713 0.079 0.500
Cu: 0.787 0.579 0.000
Tl: 0.607 0.393 0.500
Cu: 0.820 0.180 0.000
Cu: 0.014 0.397 0.000
Se: 0.325 0.118 0.500
Cu: 0.514 0.103 0.500
Tl: 0.107 0.107 0.000
Cu: 0.421 0.213 0.000
Cu: 0.680 0.680 0.500
Cu: 0.486 0.897 0.500
Se: 0.601 0.601 0.000
Se: 0.382 0.825 0.000
Cu: 0.986 0.603 0.000

Values from the calculation:
ΔH_f (0 K): -29.0 kJ/mol of atoms
Energy with MP2020 corrections: -4.006 eV/atom
Calculated density: 7.64 Mg/m³
Total DFT energy (no corrections): -34.638 eV/f.u.

=====

4.
A plane-wave DFT calculation with GGA-PBE was carried out for KICl2O after structural relaxation.

Unit cell a=7.611 b=4.899 c=8.360 alpha=78.27 beta=90.00 gamma=90.00
Fractional coordinates of all 10 atoms:
Cl: 0.003 0.738 0.307
Cl: 0.497 0.738 0.307
K: 0.250 0.209 0.400
I: 0.000 0.000 0.000
O: 0.250 0.840 0.968
O: 0.750 0.160 0.032
Cl: 0.997 0.262 0.693
I: 0.500 0.000 0.000
Cl: 0.503 0.262 0.693
K: 0.750 0.791 0.600

Values from the calculation:
ΔH_f (0 K): -92.8 kJ/mol of atoms
Energy with MP2020 corrections: -3.218 eV/atom
Calculated density: 2.75 Mg/m³
Total DFT energy (no corrections): -15.402 eV/f.u.

=====

5.
A plane-wave DFT calculation with GGA-PBE was carried out for MnPd3 after structural relaxation.

Unit cell a=8.926 b=8.926 c=8.926 alpha=18.35 beta=18.35 gamma=18.35
Fractional coordinates of all 4 atoms:
Pd: 0.255 0.255 0.255
Mn: 0.000 0.000 0.000
Pd: 0.745 0.745 0.745
Pd: 0.500 0.500 0.500

Values from the calculation:
ΔH_f (0 K): -8.5 kJ/mol of atoms
Calculated density: 10.10 Mg/m³
Total DFT energy (no corrections): -25.054 eV/f.u.

=====

6.
A plane-wave DFT calculation with GGA-PBE was carried out for SiO2 after structural relaxation.

Unit cell a=10.361 b=10.361 c=10.361 alpha=95.63 beta=95.63 gamma=143.50
Fractional coordinates of all 30 atoms:
Si: 0.130 0.496 0.365
O: 0.904 0.904 0.808
Si: 0.500 0.500 0.000
Si: 0.120 0.254 0.135
O: 0.125 0.375 0.250
O: 0.154 0.846 0.500
O: 0.703 0.107 0.596
Si: 0.120 0.985 0.865
Si: 0.235 0.870 0.365
Si: 0.750 0.250 0.500
O: 0.511 0.107 0.404
O: 0.154 0.654 0.308
Si: 0.015 0.880 0.135
O: 0.125 0.875 0.250
O: 0.346 0.654 0.500
O: 0.096 0.904 0.000
Si: 0.130 0.765 0.635
O: 0.893 0.297 0.404
O: 0.625 0.875 0.750
O: 0.357 0.261 0.904
O: 0.547 0.643 0.904
Si: 0.746 0.880 0.865
O: 0.096 0.096 0.192
O: 0.125 0.875 0.750
Si: 0.504 0.870 0.635
O: 0.893 0.489 0.596
O: 0.739 0.643 0.096
O: 0.357 0.453 0.096
O: 0.346 0.846 0.692
O: 0.904 0.096 0.000

Values from the calculation:
ΔH_f (0 K): -312.8 kJ/mol of atoms
Energy with MP2020 corrections: -8.349 eV/atom
Calculated density: 1.59 Mg/m³
Total DFT energy (no corrections): -23.673 eV/f.u.

=====

7.
A plane-wave DFT calculation with GGA-PBE was carried out for Ho2CdSe4 after structural relaxation.

Unit cell a=34.266 b=34.266 c=34.266 alpha=14.01 beta=14.01 gamma=14.01
Fractional coordinates of all 70 atoms:
Se: 0.795 0.264 0.264
Se: 0.374 0.374 0.374
Se: 0.186 0.186 0.654
Se: 0.787 0.787 0.253
Cd: 0.249 0.249 0.249
Cd: 0.400 0.400 0.400
Cd: 0.849 0.849 0.849
Se: 0.876 0.876 0.876
Se: 0.593 0.065 0.065
Ho: 0.925 0.425 0.925
Se: 0.065 0.065 0.593
Se: 0.986 0.986 0.455
Se: 0.056 0.585 0.585
Se: 0.787 0.253 0.787
Se: 0.585 0.585 0.056
Se: 0.774 0.774 0.774
Ho: 0.526 0.526 0.024
Se: 0.665 0.665 0.193
Se: 0.986 0.455 0.986
Ho: 0.526 0.024 0.526
Se: 0.264 0.264 0.795
Ho: 0.601 0.601 0.601
Ho: 0.128 0.620 0.128
Se: 0.574 0.574 0.574
Ho: 0.220 0.728 0.728
Ho: 0.201 0.201 0.201
Se: 0.077 0.077 0.077
Ho: 0.128 0.128 0.620
Cd: 0.924 0.924 0.924
Ho: 0.024 0.526 0.526
Cd: 0.050 0.050 0.050
Se: 0.186 0.654 0.186
Ho: 0.728 0.728 0.220
Se: 0.065 0.593 0.065
Se: 0.465 0.465 0.993
Se: 0.387 0.387 0.853
Se: 0.853 0.387 0.387
Ho: 0.327 0.327 0.821
Se: 0.676 0.676 0.676
Se: 0.264 0.795 0.264
Se: 0.387 0.853 0.387
Se: 0.394 0.865 0.865
Se: 0.585 0.056 0.585
Se: 0.174 0.174 0.174
Ho: 0.425 0.925 0.925
Ho: 0.821 0.327 0.327
Cd: 0.524 0.524 0.524
Se: 0.476 0.476 0.476
Se: 0.253 0.787 0.787
Ho: 0.125 0.125 0.125
Ho: 0.327 0.821 0.327
Ho: 0.000 0.000 0.000
Se: 0.993 0.465 0.465
Se: 0.865 0.865 0.394
Ho: 0.725 0.725 0.725
Cd: 0.800 0.800 0.800
Se: 0.865 0.394 0.865
Cd: 0.650 0.650 0.650
Ho: 0.728 0.220 0.728
Se: 0.465 0.993 0.465
Se: 0.665 0.193 0.665
Se: 0.193 0.665 0.665
Se: 0.276 0.276 0.276
Se: 0.974 0.974 0.974
Cd: 0.324 0.324 0.324
Ho: 0.620 0.128 0.128
Se: 0.455 0.986 0.986
Cd: 0.450 0.450 0.450
Se: 0.654 0.186 0.186
Ho: 0.925 0.925 0.425

Values from the calculation:
ΔH_f (0 K): -166.2 kJ/mol of atoms
Energy with MP2020 corrections: -5.161 eV/atom
Calculated density: 6.13 Mg/m³
Distance to the lowest polymorph of the same formula: 55 meV per atom
Total DFT energy (no corrections): -34.241 eV/f.u.

=====

8.
A plane-wave DFT calculation with GGA-PBE was carried out for Er3Co8Sn4 after structural relaxation.

Unit cell a=7.508 b=8.779 c=8.779 alpha=120.00 beta=90.00 gamma=90.00
Fractional coordinates of all 30 atoms:
Co: 0.255 0.901 0.801
Co: 0.255 0.199 0.099
Co: 0.629 0.667 0.333
Sn: 0.072 0.171 0.829
Sn: 0.479 0.333 0.667
Co: 0.441 0.161 0.322
Co: 0.997 0.000 0.000
Sn: 0.572 0.829 0.658
Co: 0.441 0.161 0.839
Co: 0.497 0.000 0.000
Sn: 0.572 0.342 0.171
Co: 0.755 0.099 0.199
Er: 0.785 0.475 0.951
Er: 0.285 0.951 0.475
Co: 0.941 0.322 0.161
Sn: 0.979 0.667 0.333
Sn: 0.072 0.171 0.342
Sn: 0.072 0.658 0.829
Er: 0.785 0.049 0.525
Er: 0.285 0.525 0.049
Co: 0.941 0.839 0.161
Co: 0.441 0.678 0.839
Co: 0.255 0.901 0.099
Er: 0.285 0.525 0.475
Co: 0.755 0.099 0.901
Co: 0.755 0.801 0.901
Co: 0.941 0.839 0.678
Sn: 0.572 0.829 0.171
Co: 0.129 0.333 0.667
Er: 0.785 0.475 0.525

Values from the calculation:
ΔH_f (0 K): -28.7 kJ/mol of atoms
Calculated density: 9.60 Mg/m³
Total DFT energy (no corrections): -91.070 eV/f.u.

=====

9.
A plane-wave DFT calculation with GGA-PBE was carried out for Gd2NiRu after structural relaxation.

Unit cell a=4.829 b=4.829 c=4.829 alpha=60.00 beta=60.00 gamma=60.00
Fractional coordinates of all 4 atoms:
Gd: 0.750 0.750 0.750
Ni: 0.500 0.500 0.500
Ru: 0.000 0.000 0.000
Gd: 0.250 0.250 0.250

Values from the calculation:
ΔH_f (0 K): -31.6 kJ/mol of atoms
Calculated density: 9.89 Mg/m³
Total DFT energy (no corrections): -44.519 eV/f.u.

=====

10.
A plane-wave DFT calculation with GGA-PBE was carried out for ErAl8Cr4 after structural relaxation.

Unit cell a=5.063 b=6.775 c=6.775 alpha=81.97 beta=68.06 gamma=68.06
Fractional coordinates of all 13 atoms:
Al: 0.278 0.222 0.222
Al: 0.000 0.335 0.665
Al: 0.500 0.222 0.778
Al: 0.335 0.665 0.665
Cr: 0.000 0.500 0.000
Al: 0.722 0.778 0.778
Al: 0.500 0.778 0.222
Cr: 0.000 0.000 0.500
Al: 0.000 0.665 0.335
Er: 0.000 0.000 0.000
Cr: 0.500 0.500 0.000
Cr: 0.500 0.000 0.500
Al: 0.665 0.335 0.335

Values from the calculation:
ΔH_f (0 K): -20.5 kJ/mol of atoms
Calculated density: 4.91 Mg/m³
Total DFT energy (no corrections): -75.904 eV/f.u.

=====

11.
A plane-wave DFT calculation with GGA-PBE was carried out for SrRhF6 after structural relaxation.

Unit cell a=4.863 b=4.863 c=4.863 alpha=98.38 beta=98.38 gamma=98.38
Fractional coordinates of all 8 atoms:
Rh: 0.000 0.000 0.000
F: 0.710 0.710 0.070
F: 0.930 0.290 0.290
F: 0.290 0.290 0.930
F: 0.290 0.930 0.290
Sr: 0.500 0.500 0.500
F: 0.710 0.070 0.710
F: 0.070 0.710 0.710

Values from the calculation:
ΔH_f (0 K): -264.8 kJ/mol of atoms
Energy with MP2020 corrections: -5.312 eV/atom
Calculated density: 4.56 Mg/m³
Total DFT energy (no corrections): -39.727 eV/f.u.

=====

12.
A plane-wave DFT calculation with GGA-PBE was carried out for SmSbS after structural relaxation.

Unit cell a=4.144 b=4.128 c=17.679 alpha=90.00 beta=90.00 gamma=90.01
Fractional coordinates of all 12 atoms:
Sm: 0.277 0.751 0.346
S: 0.779 0.250 0.314
Sb: 0.758 0.750 0.499
Sm: 0.777 0.251 0.154
S: 0.279 0.750 0.186
Sm: 0.723 0.249 0.654
S: 0.721 0.250 0.814
S: 0.221 0.750 0.686
Sb: 0.742 0.750 0.999
Sb: 0.242 0.250 0.501
Sm: 0.223 0.749 0.846
Sb: 0.258 0.250 0.001

Values from the calculation:
ΔH_f (0 K): -152.8 kJ/mol of atoms
Energy with MP2020 corrections: -5.912 eV/atom
Calculated density: 6.68 Mg/m³
Total DFT energy (no corrections): -17.233 eV/f.u.